[1]
The following is a DFT calculation (r²SCAN) of Ta6Co16Ge7 after structural relaxation.

a = 7.976 Å, b = 7.976 Å, c = 7.976 Å
α = 60.00°, β = 60.00°, γ = 60.00°
Fractional positions:
Ta  0.202  0.202  0.798
Ta  0.202  0.798  0.202
Ta  0.202  0.798  0.798
Ta  0.798  0.202  0.202
Ta  0.798  0.202  0.798
Ta  0.798  0.798  0.202
Co  0.142  0.619  0.619
Co  0.166  0.166  0.166
Co  0.166  0.166  0.501
Co  0.166  0.501  0.166
Co  0.381  0.381  0.381
Co  0.381  0.381  0.858
Co  0.381  0.858  0.381
Co  0.499  0.834  0.834
Co  0.501  0.166  0.166
Co  0.619  0.142  0.619
Co  0.619  0.619  0.142
Co  0.619  0.619  0.619
Co  0.834  0.499  0.834
Co  0.834  0.834  0.499
Co  0.834  0.834  0.834
Co  0.858  0.381  0.381
Ge  0.000  0.000  0.500
Ge  0.000  0.500  0.000
Ge  0.000  0.500  0.500
Ge  0.500  0.000  0.000
Ge  0.500  0.000  0.500
Ge  0.500  0.500  0.000
Ge  0.500  0.500  0.500

Calculated values
For the formation energy, the calculation gives -0.213 eV/atom. Its space-group type is Fm-3m. As for the total energy: -606.6 eV per formula unit. For the density, the calculation gives 11.7 Mg/m³. For the size of the total moment, the calculation gives 8.30 μB/cell. As for the volume: 358.8 Å³ per cell.

[2]
The following is a DFT calculation (r²SCAN) of LuTlTe2 after structural relaxation.

a = 4.375 Å, b = 4.375 Å, c = 24.398 Å
α = 90.00°, β = 90.00°, γ = 120.00°
Fractional positions:
Lu  0.000  0.000  0.000
Lu  0.333  0.667  0.667
Lu  0.667  0.333  0.333
Tl  0.000  0.000  0.500
Tl  0.333  0.667  0.167
Tl  0.667  0.333  0.833
Te  0.000  0.000  0.264
Te  0.000  0.000  0.736
Te  0.333  0.667  0.403
Te  0.333  0.667  0.931
Te  0.667  0.333  0.069
Te  0.667  0.333  0.597

Calculated values
For the formation energy, the calculation gives -1.194 eV/atom. Its space-group type is R-3m. As for the total energy: -146.9 eV per formula unit. For the density, the calculation gives 7.8 Mg/m³. For the size of the total moment, the calculation gives 0.00 μB/cell. As for the volume: 404.4 Å³ per cell.